This record from the Materials Project describes crystalline Te2MoWSeS at its relaxed geometry. The functional is PBE.

Output
E_form   -11.7 kcal/mol of atoms
Relative energy among the computed polymorphs   1 meV/atom
Total moment   0.0 μB per formula unit

POSCAR file:
```
Te2MoWSeS
1.0
1.697 -2.939 0.000
1.697 2.939 0.000
0.000 0.000 38.808
Te Mo W Se S
4 2 2 2 2
Cartesian
1.697 0.980 1.770 Te
1.697 0.980 16.353 Te
1.697 0.980 5.519 Te
1.697 0.980 20.103 Te
0.000 0.000 3.644 Mo
0.000 0.000 18.227 Mo
1.697 0.980 10.936 W
1.697 0.980 25.518 W
0.000 0.000 12.594 Se
0.000 0.000 9.279 Se
0.000 0.000 27.026 S
0.000 0.000 24.010 S
```